# Li3Fe4P3H12O19 | Materials Project | PBE with a Hubbard U | relaxed
# Raw total energy = -5.922 eV per atom
# Energy of formation from the pure elements = -74.33 eV/f.u.
data_Li3Fe4P3H12O19
_chemical_formula_sum 'Li6 Fe8 P6 H24 O38'
_symmetry_space_group_name_H-M 'P 1'
_symmetry_Int_Tables_number 1
_cell_length_a 10.691
_cell_length_b 10.691
_cell_length_c 10.691
_cell_angle_alpha 60.90
_cell_angle_beta 60.90
_cell_angle_gamma 60.90
loop_
_symmetry_equiv_pos_as_xyz
'x,y,z'
loop_
_atom_site_label
_atom_site_type_symbol
_atom_site_fract_x
_atom_site_fract_y
_atom_site_fract_z
_atom_site_occupancy
Li1 Li 0.678 0.064 0.941 1
Li2 Li 0.564 0.178 0.441 1
Li3 Li 0.941 0.678 0.064 1
Li4 Li 0.441 0.564 0.178 1
Li5 Li 0.178 0.441 0.564 1
Li6 Li 0.064 0.941 0.678 1
Fe1 Fe 0.978 0.008 0.306 1
Fe2 Fe 0.806 0.508 0.478 1
Fe3 Fe 0.508 0.478 0.806 1
Fe4 Fe 0.003 0.003 0.003 1
Fe5 Fe 0.503 0.503 0.503 1
Fe6 Fe 0.008 0.306 0.978 1
Fe7 Fe 0.478 0.806 0.508 1
Fe8 Fe 0.306 0.978 0.008 1
P1 P 0.838 0.302 0.807 1
P2 P 0.802 0.338 0.307 1
P3 P 0.338 0.307 0.802 1
P4 P 0.807 0.838 0.302 1
P5 P 0.302 0.807 0.838 1
P6 P 0.307 0.802 0.338 1
H1 H 0.757 0.002 0.691 1
H2 H 0.808 0.141 0.629 1
H3 H 0.456 0.032 0.220 1
H4 H 0.641 0.308 0.129 1
H5 H 0.956 0.720 0.532 1
H6 H 0.502 0.257 0.191 1
H7 H 0.308 0.129 0.641 1
H8 H 0.896 0.596 0.675 1
H9 H 0.396 0.175 0.096 1
H10 H 0.720 0.532 0.956 1
H11 H 0.257 0.191 0.502 1
H12 H 0.175 0.096 0.396 1
H13 H 0.596 0.675 0.896 1
H14 H 0.691 0.757 0.002 1
H15 H 0.032 0.220 0.456 1
H16 H 0.675 0.896 0.596 1
H17 H 0.096 0.396 0.175 1
H18 H 0.629 0.808 0.141 1
H19 H 0.220 0.456 0.032 1
H20 H 0.191 0.502 0.257 1
H21 H 0.532 0.956 0.720 1
H22 H 0.141 0.629 0.808 1
H23 H 0.129 0.641 0.308 1
H24 H 0.002 0.691 0.757 1
O1 O 0.960 0.145 0.808 1
O2 O 0.816 0.039 0.706 1
O3 O 0.788 0.183 0.345 1
O4 O 0.923 0.382 0.151 1
O5 O 0.854 0.322 0.430 1
O6 O 0.822 0.354 0.930 1
O7 O 0.882 0.423 0.651 1
O8 O 0.683 0.288 0.845 1
O9 O 0.470 0.131 0.148 1
O10 O 0.970 0.648 0.631 1
O11 O 0.382 0.151 0.923 1
O12 O 0.539 0.316 0.206 1
O13 O 0.845 0.683 0.288 1
O14 O 0.645 0.460 0.308 1
O15 O 0.460 0.308 0.645 1
O16 O 0.930 0.822 0.354 1
O17 O 0.316 0.206 0.539 1
O18 O 0.648 0.631 0.970 1
O19 O 0.079 0.079 0.079 1
O20 O 0.579 0.579 0.579 1
O21 O 0.131 0.148 0.470 1
O22 O 0.706 0.816 0.039 1
O23 O 0.322 0.430 0.854 1
O24 O 0.808 0.960 0.145 1
O25 O 0.183 0.345 0.788 1
O26 O 0.423 0.651 0.882 1
O27 O 0.651 0.882 0.423 1
O28 O 0.148 0.470 0.131 1
O29 O 0.631 0.970 0.648 1
O30 O 0.308 0.645 0.460 1
O31 O 0.206 0.539 0.316 1
O32 O 0.430 0.854 0.322 1
O33 O 0.345 0.788 0.183 1
O34 O 0.288 0.845 0.683 1
O35 O 0.354 0.930 0.822 1
O36 O 0.039 0.706 0.816 1
O37 O 0.145 0.808 0.960 1
O38 O 0.151 0.923 0.382 1